(1)
Density functional theory data (r2SCAN) for Ho2SO2 after structural relaxation.

Unit cell a=3.7617 b=3.7617 c=6.5545 alpha=90.00 beta=90.00 gamma=120.00
Element x y z (fractional)
Ho1 0.6667 0.3333 0.7166
Ho2 0.3333 0.6667 0.2834
S1 0.0000 0.0000 0.0000
O1 0.6667 0.3333 0.3709
O2 0.3333 0.6667 0.6291

Summary:
For the total magnetization, the calculation gives 0.000 μB per atom. The value obtained for the energy of formation is -17.8 eV/f.u. The calculation puts the electronic total energy at -20.715 eV/atom.



(2)
Density functional theory data (r2SCAN) for PmMg after structural relaxation.

Unit cell a=3.8693 b=3.8693 c=3.8693 alpha=90.00 beta=90.00 gamma=90.00
Element x y z (fractional)
Pm1 0.5000 0.5000 0.5000
Mg1 0.0000 0.0000 0.0000

Summary:
For the total magnetization, the calculation gives 0.000 μB per atom. The value obtained for the energy of formation is -0.2 eV/f.u. The calculation puts the electronic total energy at -16.963 eV/atom.



(3)
Density functional theory data (r2SCAN) for TiGePd after structural relaxation.

Unit cell a=3.8447 b=6.4022 c=7.5522 alpha=90.00 beta=90.00 gamma=90.00
Element x y z (fractional)
Ti1 0.7500 0.4654 0.3169
Ti2 0.2500 0.5346 0.6830
Ti3 0.7500 0.9654 0.1831
Ti4 0.2500 0.0345 0.8170
Ge1 0.7500 0.7570 0.8759
Ge2 0.2500 0.7430 0.3759
Ge3 0.2500 0.2430 0.1242
Ge4 0.7500 0.2570 0.6240
Pd1 0.2500 0.1430 0.4383
Pd2 0.2500 0.6430 0.0617
Pd3 0.7500 0.3570 0.9385
Pd4 0.7500 0.8570 0.5615

Summary:
For the total magnetization, the calculation gives 0.000 μB per atom. The value obtained for the energy of formation is -2.2 eV/f.u. The calculation puts the electronic total energy at -17.325 eV/atom.



(4)
Density functional theory data (r2SCAN) for Rb4Hf3S14 after structural relaxation.

Unit cell a=11.6852 b=11.6852 c=13.6198 alpha=69.26 beta=69.26 gamma=41.54
Element x y z (fractional)
Rb1 0.0196 0.3844 0.8914
Rb2 0.6156 0.9804 0.6086
Rb3 0.9804 0.6156 0.1086
Rb4 0.3844 0.0196 0.3914
Rb5 0.1957 0.6723 0.6440
Rb6 0.3277 0.8043 0.8560
Rb7 0.8043 0.3277 0.3560
Rb8 0.6723 0.1957 0.1440
Hf1 0.9203 0.4163 0.5885
Hf2 0.5837 0.0797 0.9115
Hf3 0.0797 0.5837 0.4115
Hf4 0.4163 0.9203 0.0885
Hf5 0.7661 0.2339 0.7500
Hf6 0.2339 0.7661 0.2500
S1 0.8879 0.1933 0.8954
S2 0.8067 0.1121 0.6046
S3 0.1121 0.8067 0.1046
S4 0.1933 0.8879 0.3954
S5 0.6507 0.4870 0.5842
S6 0.5130 0.3493 0.9158
S7 0.3493 0.5130 0.4158
S8 0.4870 0.6507 0.0842
S9 0.0745 0.0971 0.6320
S10 0.9029 0.9255 0.8680
S11 0.9255 0.9029 0.3680
S12 0.0971 0.0745 0.1320
S13 0.7615 0.4307 0.7953
S14 0.5693 0.2385 0.7047
S15 0.2385 0.5693 0.2047
S16 0.4307 0.7615 0.2953
S17 0.9911 0.5685 0.6022
S18 0.4315 0.0089 0.8978
S19 0.0089 0.4315 0.3978
S20 0.5685 0.9911 0.1022
S21 0.8541 0.8066 0.8321
S22 0.1934 0.1459 0.6679
S23 0.1459 0.1934 0.1679
S24 0.8066 0.8541 0.3321
S25 0.3058 0.4075 0.8925
S26 0.5925 0.6942 0.6075
S27 0.6942 0.5925 0.1075
S28 0.4075 0.3058 0.3925

Summary:
For the total magnetization, the calculation gives 0.000 μB per atom. The value obtained for the energy of formation is -26.9 eV/f.u. The calculation puts the electronic total energy at -15.742 eV/atom.



(5)
Density functional theory data (r2SCAN) for TbMgAu2 after structural relaxation.

Unit cell a=4.8792 b=4.8792 c=4.8792 alpha=60.00 beta=60.00 gamma=60.00
Element x y z (fractional)
Tb1 0.7500 0.7500 0.7500
Mg1 0.2500 0.2500 0.2500
Au1 0.5000 0.5000 0.5000
Au2 0.0000 0.0000 0.0000

Summary:
For the total magnetization, the calculation gives 0.000 μB per atom. The value obtained for the energy of formation is -3.3 eV/f.u. The calculation puts the electronic total energy at -34.970 eV/atom.



(6)
Density functional theory data (r2SCAN) for Ba5Pb3 after structural relaxation.

Unit cell a=10.8674 b=10.8674 c=10.8674 alpha=130.20 beta=130.20 gamma=73.09
Element x y z (fractional)
Ba1 0.0355 0.5355 0.8550
Ba2 0.5355 0.6805 0.5000
Ba3 0.8195 0.9645 0.5000
Ba4 0.3195 0.8195 0.8550
Ba5 0.0000 0.0000 0.0000
Ba6 0.4645 0.3195 0.5000
Ba7 0.9645 0.4645 0.1450
Ba8 0.6805 0.1805 0.1450
Ba9 0.1805 0.0355 0.5000
Ba10 0.5000 0.5000 0.0000
Pb1 0.8810 0.6190 0.5000
Pb2 0.6190 0.1190 0.7380
Pb3 0.7500 0.7500 0.0000
Pb4 0.1190 0.3810 0.5000
Pb5 0.3810 0.8810 0.2620
Pb6 0.2500 0.2500 0.0000

Summary:
For the total magnetization, the calculation gives 0.015 μB per atom. The value obtained for the energy of formation is -5.4 eV/f.u. The calculation puts the electronic total energy at -38.342 eV/atom.



(7)
Density functional theory data (r2SCAN) for Zr2InNi2 after structural relaxation.

Unit cell a=7.1756 b=7.1756 c=6.6458 alpha=90.00 beta=90.00 gamma=90.00
Element x y z (fractional)
Zr1 0.8258 0.8258 0.0000
Zr2 0.6742 0.3258 0.5000
Zr3 0.3384 0.6616 0.0000
Zr4 0.1616 0.1616 0.5000
Zr5 0.1742 0.1742 0.0000
Zr6 0.8384 0.8384 0.5000
Zr7 0.6616 0.3384 0.0000
Zr8 0.3258 0.6742 0.5000
In1 0.5000 0.0000 0.7500
In2 0.5000 0.0000 0.2500
In3 0.0000 0.5000 0.2500
In4 0.0000 0.5000 0.7500
Ni1 0.1247 0.8753 0.2329
Ni2 0.1247 0.8753 0.7671
Ni3 0.6247 0.6247 0.7329
Ni4 0.8753 0.1247 0.7671
Ni5 0.3753 0.3753 0.2671
Ni6 0.6247 0.6247 0.2671
Ni7 0.8753 0.1247 0.2329
Ni8 0.3753 0.3753 0.7329

Summary:
For the total magnetization, the calculation gives 0.000 μB per atom. The value obtained for the energy of formation is -2.7 eV/f.u. The calculation puts the electronic total energy at -18.957 eV/atom.



(8)
Density functional theory data (r2SCAN) for Hf2Al3Ni after structural relaxation.

Unit cell a=5.0745 b=5.0745 c=5.0745 alpha=61.85 beta=61.85 gamma=61.85
Element x y z (fractional)
Hf1 0.6265 0.6265 0.6265
Hf2 0.3735 0.3735 0.3735
Al1 0.0000 0.5000 0.0000
Al2 0.5000 0.0000 0.0000
Al3 0.0000 0.0000 0.5000
Ni1 0.0000 0.0000 0.0000

Summary:
For the total magnetization, the calculation gives 0.000 μB per atom. The value obtained for the energy of formation is -3.5 eV/f.u. The calculation puts the electronic total energy at -21.000 eV/atom.



(9)
Density functional theory data (r2SCAN) for Ce2In3Ru2 after structural relaxation.

Unit cell a=4.7426 b=7.5021 c=17.6584 alpha=90.00 beta=90.00 gamma=90.00
Element x y z (fractional)
Ce1 0.7500 0.0621 0.1485
Ce2 0.2500 0.5621 0.3515
Ce3 0.2500 0.4428 0.9251
Ce4 0.7500 0.9428 0.5749
Ce5 0.2500 0.9379 0.8515
Ce6 0.7500 0.4379 0.6485
Ce7 0.2500 0.0572 0.4251
Ce8 0.7500 0.5572 0.0749
In1 0.2500 0.7726 0.1941
In2 0.7500 0.1243 0.9683
In3 0.2500 0.6243 0.5317
In4 0.2500 0.3581 0.1832
In5 0.7500 0.2726 0.3059
In6 0.2500 0.1419 0.6832
In7 0.7500 0.3757 0.4683
In8 0.7500 0.6419 0.8168
In9 0.7500 0.2274 0.8059
In10 0.7500 0.8581 0.3168
In11 0.2500 0.8757 0.0317
In12 0.2500 0.7274 0.6941
Ru1 0.2500 0.2399 0.5279
Ru2 0.2500 0.4333 0.7937
Ru3 0.2500 0.2601 0.0279
Ru4 0.2500 0.0667 0.2937
Ru5 0.7500 0.7399 0.9721
Ru6 0.7500 0.9333 0.7063
Ru7 0.7500 0.5667 0.2063
Ru8 0.7500 0.7601 0.4721

Summary:
For the total magnetization, the calculation gives 0.154 μB per atom. The value obtained for the energy of formation is -4.0 eV/f.u. The calculation puts the electronic total energy at -26.328 eV/atom.



(10)
Density functional theory data (r2SCAN) for LiUI6 after structural relaxation.

Unit cell a=7.4957 b=7.4989 c=7.3634 alpha=79.92 beta=79.90 gamma=118.76
Element x y z (fractional)
Li1 0.8543 0.1456 0.5000
U1 0.9990 0.0010 0.0000
I1 0.2400 0.2494 0.2320
I2 0.7509 0.7598 0.7680
I3 0.0663 0.3922 0.7434
I4 0.3913 0.0754 0.7543
I5 0.9246 0.6089 0.2456
I6 0.6076 0.9337 0.2567

Summary:
For the total magnetization, the calculation gives 0.125 μB per atom. The value obtained for the energy of formation is -8.6 eV/f.u. The calculation puts the electronic total energy at -29.788 eV/atom.



(11)
Density functional theory data (r2SCAN) for YTh9O20 after structural relaxation.

Unit cell a=6.8380 b=7.8936 c=8.8267 alpha=102.90 beta=97.42 gamma=106.78
Element x y z (fractional)
Y1 0.0000 0.0000 0.0000
Th1 0.8008 0.6020 0.6025
Th2 0.0000 0.5000 0.0000
Th3 0.5992 0.1979 0.1979
Th4 0.8007 0.0998 0.6029
Th5 0.4008 0.8021 0.8020
Th6 0.6032 0.7019 0.1988
Th7 0.1992 0.3980 0.3975
Th8 0.3968 0.2981 0.8012
Th9 0.1993 0.9002 0.3971
O1 0.8501 0.3247 0.4505
O2 0.6511 0.9253 0.0500
O3 0.8507 0.8256 0.4504
O4 0.9504 0.7753 0.1495
O5 0.4493 0.5246 0.6502
O6 0.6497 0.4248 0.0497
O7 0.7495 0.3749 0.7505
O8 0.2494 0.1246 0.2490
O9 0.9498 0.2746 0.1494
O10 0.0502 0.7254 0.8506
O11 0.4496 0.0251 0.6499
O12 0.5504 0.9749 0.3501
O13 0.7506 0.8754 0.7510
O14 0.3503 0.5752 0.9503
O15 0.2505 0.6251 0.2495
O16 0.0496 0.2247 0.8505
O17 0.5507 0.4754 0.3498
O18 0.1493 0.1744 0.5496
O19 0.3489 0.0747 0.9500
O20 0.1499 0.6753 0.5495

Summary:
For the total magnetization, the calculation gives 0.033 μB per atom. The value obtained for the energy of formation is -122.9 eV/f.u. The calculation puts the electronic total energy at -30.799 eV/atom.



(12)
Density functional theory data (r2SCAN) for ErAsPd after structural relaxation.

Unit cell a=4.0765 b=6.9985 c=7.8823 alpha=90.00 beta=90.00 gamma=90.00
Element x y z (fractional)
Er1 0.2500 0.5330 0.8080
Er2 0.7500 0.4670 0.1920
Er3 0.2500 0.0330 0.6920
Er4 0.7500 0.9670 0.3080
As1 0.2500 0.7451 0.1207
As2 0.7500 0.2549 0.8793
As3 0.2500 0.2451 0.3793
As4 0.7500 0.7549 0.6207
Pd1 0.7500 0.3571 0.5633
Pd2 0.2500 0.6429 0.4367
Pd3 0.7500 0.8571 0.9367
Pd4 0.2500 0.1429 0.0633

Summary:
For the total magnetization, the calculation gives 0.000 μB per atom. The value obtained for the energy of formation is -3.9 eV/f.u. The calculation puts the electronic total energy at -25.165 eV/atom.



(13)
Density functional theory data (r2SCAN) for NaCrF4 after structural relaxation.

Unit cell a=5.2698 b=7.3475 c=7.7563 alpha=79.36 beta=90.00 gamma=90.00
Element x y z (fractional)
Na1 0.2176 0.8888 0.3617
Na2 0.7176 0.6112 0.6383
Na3 0.7824 0.1112 0.6383
Na4 0.2824 0.3888 0.3617
Cr1 0.7402 0.7016 0.1697
Cr2 0.2402 0.7984 0.8303
Cr3 0.2598 0.2984 0.8303
Cr4 0.7598 0.2016 0.1697
F1 0.4802 0.1226 0.3091
F2 0.9802 0.3774 0.6909
F3 0.5198 0.8774 0.6909
F4 0.0198 0.6226 0.3091
F5 0.9570 0.1885 0.3735
F6 0.4570 0.3115 0.6265
F7 0.0430 0.8115 0.6265
F8 0.5430 0.6885 0.3735
F9 0.8658 0.9502 0.1685
F10 0.3658 0.5498 0.8315
F11 0.1342 0.0498 0.8315
F12 0.6342 0.4502 0.1685
F13 0.4338 0.7984 0.0429
F14 0.9338 0.7016 0.9571
F15 0.5662 0.2016 0.9571
F16 0.0662 0.2984 0.0429

Summary:
For the total magnetization, the calculation gives 0.500 μB per atom. The value obtained for the energy of formation is -18.5 eV/f.u. The calculation puts the electronic total energy at -8.269 eV/atom.



(14)
Density functional theory data (r2SCAN) for CeYCu4 after structural relaxation.

Unit cell a=5.4812 b=5.4753 c=5.4753 alpha=133.77 beta=101.84 gamma=95.89
Element x y z (fractional)
Ce1 0.0409 0.5410 0.4999
Y1 0.4636 0.4635 0.0001
Cu1 0.4662 0.1646 0.3016
Cu2 0.0335 0.8332 0.2003
Cu3 0.6326 0.8330 0.7996
Cu4 0.8632 0.1647 0.6984

Summary:
For the total magnetization, the calculation gives 0.177 μB per atom. The value obtained for the energy of formation is -1.1 eV/f.u. The calculation puts the electronic total energy at -15.942 eV/atom.



(15)
Density functional theory data (r2SCAN) for YbIn5Co after structural relaxation.

Unit cell a=4.5238 b=4.5238 c=7.3950 alpha=90.00 beta=90.00 gamma=90.00
Element x y z (fractional)
Yb1 0.0000 0.0000 0.0000
In1 0.0000 0.5000 0.3052
In2 0.0000 0.5000 0.6948
In3 0.5000 0.0000 0.6948
In4 0.5000 0.0000 0.3052
In5 0.5000 0.5000 0.0000
Co1 0.0000 0.0000 0.5000

Summary:
For the total magnetization, the calculation gives 0.000 μB per atom. The value obtained for the energy of formation is -1.9 eV/f.u. The calculation puts the electronic total energy at -23.502 eV/atom.



(16)
Density functional theory data (r2SCAN) for Er2InAg after structural relaxation.

Unit cell a=5.1685 b=5.1685 c=5.1685 alpha=60.00 beta=60.00 gamma=60.00
Element x y z (fractional)
Er1 0.5000 0.5000 0.5000
Er2 0.0000 0.0000 0.0000
In1 0.7500 0.7500 0.7500
Ag1 0.2500 0.2500 0.2500

Summary:
For the total magnetization, the calculation gives 0.000 μB per atom. The value obtained for the energy of formation is -1.9 eV/f.u. The calculation puts the electronic total energy at -28.422 eV/atom.



(17)
Density functional theory data (r2SCAN) for SiGe after structural relaxation.

Unit cell a=3.9194 b=3.9194 c=3.9194 alpha=60.00 beta=60.00 gamma=60.00
Element x y z (fractional)
Si1 0.0000 0.0000 0.0000
Ge1 0.2500 0.2500 0.2500

Summary:
For the total magnetization, the calculation gives 0.000 μB per atom. The value obtained for the energy of formation is 0.0 eV/f.u. The calculation puts the electronic total energy at -11.307 eV/atom.



(18)
Density functional theory data (r2SCAN) for Yb3P after structural relaxation.

Unit cell a=4.4473 b=4.4473 c=4.4473 alpha=90.00 beta=90.00 gamma=90.00
Element x y z (fractional)
Yb1 0.0000 0.5000 0.5000
Yb2 0.5000 0.0000 0.5000
Yb3 0.5000 0.5000 0.0000
P1 0.0000 0.0000 0.0000

Summary:
For the total magnetization, the calculation gives 0.000 μB per atom. The value obtained for the energy of formation is -1.3 eV/f.u. The calculation puts the electronic total energy at -29.977 eV/atom.



(19)
Density functional theory data (r2SCAN) for EuB4O7 after structural relaxation.

Unit cell a=4.2393 b=4.4317 c=10.7268 alpha=90.00 beta=90.00 gamma=90.00
Element x y z (fractional)
Eu1 0.5042 0.2114 0.5000
Eu2 0.0042 0.7886 0.0000
B1 0.5073 0.8220 0.2512
B2 0.0073 0.1780 0.2488
B3 0.5311 0.3259 0.1216
B4 0.0311 0.6741 0.3784
B5 0.0311 0.6741 0.6216
B6 0.5311 0.3259 0.8784
B7 0.0073 0.1780 0.7512
B8 0.5073 0.8220 0.7488
O1 0.4596 0.6428 0.1417
O2 0.3674 0.7268 0.6353
O3 0.8674 0.2732 0.8647
O4 0.8674 0.2732 0.1353
O5 0.8639 0.8680 0.7223
O6 0.3639 0.1320 0.7777
O7 0.3639 0.1320 0.2223
O8 0.8639 0.8680 0.2777
O9 0.9596 0.3572 0.6417
O10 0.4596 0.6428 0.8583
O11 0.9242 0.7721 0.5000
O12 0.4242 0.2279 0.0000
O13 0.3674 0.7268 0.3647
O14 0.9596 0.3572 0.3583

Summary:
For the total magnetization, the calculation gives 0.583 μB per atom. The value obtained for the energy of formation is -33.7 eV/f.u. The calculation puts the electronic total energy at -11.953 eV/atom.



(20)
Density functional theory data (r2SCAN) for CaYHg2 after structural relaxation.

Unit cell a=5.2576 b=5.2576 c=5.2576 alpha=60.00 beta=60.00 gamma=60.00
Element x y z (fractional)
Ca1 0.2500 0.2500 0.2500
Y1 0.7500 0.7500 0.7500
Hg1 0.0000 0.0000 0.0000
Hg2 0.5000 0.5000 0.5000

Summary:
For the total magnetization, the calculation gives 0.000 μB per atom. The value obtained for the energy of formation is -2.4 eV/f.u. The calculation puts the electronic total energy at -32.125 eV/atom.